1.
Crystalline P4Se3Br2 at its relaxed geometry. Source: the Materials Project, functional PBE-GGA.

## Properties
final energy	-4.11	eV/atom
E_form	-0.291	eV/atom

Cell and atoms, written as CIF:
```
data_P4Se3Br2
_chemical_formula_sum 'P16 Se12 Br8'
_cell_length_a 10.6550
_cell_length_b 10.6550
_cell_length_c 13.3433
_cell_angle_alpha 72.31
_cell_angle_beta 72.31
_cell_angle_gamma 99.39
_space_group_name_H-M_alt 'P 1'
_space_group_IT_number 1
loop_
_space_group_symop_operation_xyz
'x,y,z'
loop_
_atom_site_label
_atom_site_type_symbol
_atom_site_fract_x
_atom_site_fract_y
_atom_site_fract_z
_atom_site_occupancy
P1 P 0.1430 0.6901 0.4217 1
Se1 Se 0.1311 0.6620 0.1915 1
Se2 Se 0.6620 0.1311 0.6915 1
Se3 Se 0.8689 0.3380 0.8085 1
Se4 Se 0.9522 0.0478 0.7500 1
Se5 Se 0.6229 0.6611 0.7465 1
Se6 Se 0.3389 0.3771 0.7535 1
P2 P 0.3682 0.5940 0.6332 1
Se7 Se 0.3771 0.3389 0.2535 1
P3 P 0.6318 0.4060 0.3668 1
P4 P 0.4067 0.3551 0.4138 1
Br1 Br 0.0422 0.7602 0.5649 1
Se8 Se 0.2949 0.7051 0.7500 1
Br2 Br 0.6492 0.8691 0.4699 1
P5 P 0.3551 0.4067 0.9138 1
Se9 Se 0.3380 0.8689 0.3085 1
P6 P 0.3099 0.8570 0.0783 1
P7 P 0.6449 0.5933 0.0862 1
Br3 Br 0.1309 0.3508 0.0301 1
P8 P 0.5933 0.6449 0.5862 1
P9 P 0.7217 0.0010 0.8311 1
Br4 Br 0.7602 0.0422 0.0649 1
Br5 Br 0.2398 0.9578 0.9351 1
P10 P 0.8570 0.3099 0.5783 1
Br6 Br 0.9578 0.2398 0.4351 1
P11 P 0.6901 0.1430 0.9217 1
P12 P 0.0010 0.7217 0.3311 1
P13 P 0.5940 0.3682 0.1332 1
P14 P 0.9990 0.2783 0.6689 1
Se10 Se 0.6611 0.6229 0.2465 1
Br7 Br 0.3508 0.1309 0.5301 1
P15 P 0.2783 0.9990 0.1689 1
P16 P 0.4060 0.6318 0.8668 1
Se11 Se 0.0478 0.9522 0.2500 1
Br8 Br 0.8691 0.6492 0.9699 1
Se12 Se 0.7051 0.2949 0.2500 1
```

***

2.
Crystalline K2NbAgS4 at its relaxed geometry. Source: the Materials Project, functional PBE-GGA.

## Properties
polymorph energy (0 for the lowest one)	13.6	meV per atom
final energy	-4.95	eV/atom
E_form	-1.234	eV/atom

Cell and atoms, written as CIF:
```
data_K2NbAgS4
_chemical_formula_sum 'K4 Nb2 Ag2 S8'
_cell_length_a 13.3862
_cell_length_b 11.9321
_cell_length_c 7.3894
_cell_angle_alpha 84.21
_cell_angle_beta 62.48
_cell_angle_gamma 33.31
_space_group_name_H-M_alt 'P 1'
_space_group_IT_number 1
loop_
_space_group_symop_operation_xyz
'x,y,z'
loop_
_atom_site_label
_atom_site_type_symbol
_atom_site_fract_x
_atom_site_fract_y
_atom_site_fract_z
_atom_site_occupancy
K1 K 0.5568 0.5516 0.1887 1
S1 S 0.7458 0.1234 0.2064 1
S2 S 0.7938 0.5679 0.2494 1
S3 S 0.2593 0.8760 0.7866 1
Nb1 Nb 0.3699 0.3815 0.3734 1
K2 K 0.4379 0.4534 0.8080 1
Ag1 Ag 0.8683 0.8839 0.8787 1
S4 S 0.2093 0.4218 0.7456 1
S5 S 0.5676 0.7984 0.8795 1
Nb2 Nb 0.6279 0.6235 0.6290 1
K3 K 0.8033 0.8111 0.4474 1
S6 S 0.8912 0.2453 0.5618 1
S7 S 0.4301 0.2036 0.1224 1
K4 K 0.2040 0.1864 0.5484 1
Ag2 Ag 0.1222 0.1310 0.1294 1
S8 S 0.1232 0.7406 0.4261 1
```

***

3.
Crystalline ZrC at its relaxed geometry. Source: the Materials Project, functional PBE-GGA.

## Properties
polymorph energy (0 for the lowest one)	613.3	meV per atom
final energy	-9.08	eV/atom
piezoelectric modulus e_max	0.4	C/m2
E_form	-0.191	eV/atom

Cell and atoms, written as CIF:
```
data_ZrC
_chemical_formula_sum 'Zr1 C1'
_cell_length_a 3.6106
_cell_length_b 3.6106
_cell_length_c 3.6106
_cell_angle_alpha 60.00
_cell_angle_beta 60.00
_cell_angle_gamma 60.00
_space_group_name_H-M_alt 'P 1'
_space_group_IT_number 1
loop_
_space_group_symop_operation_xyz
'x,y,z'
loop_
_atom_site_label
_atom_site_type_symbol
_atom_site_fract_x
_atom_site_fract_y
_atom_site_fract_z
_atom_site_occupancy
C1 C 0.2500 0.2500 0.2500 1
Zr1 Zr 0.0000 0.0000 0.0000 1
```

***

4.
Crystalline U2AlCo3 at its relaxed geometry. Source: the Materials Project, functional PBE-GGA.

## Properties
final energy	-8.27	eV/atom
E_form	-0.328	eV/atom

Cell and atoms, written as CIF:
```
data_U2AlCo3
_chemical_formula_sum 'U4 Al2 Co6'
_cell_length_a 5.1510
_cell_length_b 5.1510
_cell_length_c 7.6324
_cell_angle_alpha 90.00
_cell_angle_beta 90.00
_cell_angle_gamma 120.00
_space_group_name_H-M_alt 'P 1'
_space_group_IT_number 1
loop_
_space_group_symop_operation_xyz
'x,y,z'
loop_
_atom_site_label
_atom_site_type_symbol
_atom_site_fract_x
_atom_site_fract_y
_atom_site_fract_z
_atom_site_occupancy
U1 U 0.3333 0.6667 0.4301 1
Co1 Co 0.8298 0.1702 0.2500 1
Co2 Co 0.8298 0.6597 0.2500 1
Co3 Co 0.1702 0.3403 0.7500 1
Co4 Co 0.3403 0.1702 0.2500 1
Co5 Co 0.1702 0.8298 0.7500 1
Al1 Al 0.0000 0.0000 0.0000 1
U2 U 0.6667 0.3333 0.9301 1
U3 U 0.3333 0.6667 0.0699 1
Co6 Co 0.6597 0.8298 0.7500 1
U4 U 0.6667 0.3333 0.5699 1
Al2 Al 0.0000 0.0000 0.5000 1
```

***

5.
Crystalline HfAs2O9 at its relaxed geometry. Source: the Materials Project, functional PBE-GGA.

## Properties
final energy	-6.48	eV/atom
E_form	-1.680	eV/atom

Cell and atoms, written as CIF:
```
data_HfAs2O9
_chemical_formula_sum 'Hf4 As8 O36'
_cell_length_a 5.4851
_cell_length_b 9.3122
_cell_length_c 16.4497
_cell_angle_alpha 68.81
_cell_angle_beta 90.00
_cell_angle_gamma 90.00
_space_group_name_H-M_alt 'P 1'
_space_group_IT_number 1
loop_
_space_group_symop_operation_xyz
'x,y,z'
loop_
_atom_site_label
_atom_site_type_symbol
_atom_site_fract_x
_atom_site_fract_y
_atom_site_fract_z
_atom_site_occupancy
As1 As 0.7368 0.9922 0.6179 1
O1 O 0.9588 0.1442 0.0960 1
O2 O 0.8704 0.2649 0.7564 1
Hf1 Hf 0.2631 0.2385 0.0218 1
O3 O 0.9456 0.5855 0.0647 1
O4 O 0.0306 0.0580 0.6051 1
O5 O 0.7187 0.4819 0.2825 1
As2 As 0.2318 0.5397 0.1070 1
O6 O 0.6899 0.8643 0.7243 1
O7 O 0.9694 0.9420 0.3949 1
O8 O 0.4456 0.4145 0.4353 1
As3 As 0.2632 0.0078 0.3821 1
O9 O 0.4694 0.0580 0.1051 1
O10 O 0.3263 0.3725 0.0961 1
O11 O 0.0412 0.8558 0.9040 1
O12 O 0.1899 0.1357 0.7757 1
O13 O 0.5306 0.9420 0.8949 1
Hf2 Hf 0.7631 0.7615 0.4782 1
As4 As 0.2682 0.5397 0.6070 1
O14 O 0.6737 0.6275 0.9039 1
O15 O 0.6296 0.2649 0.2564 1
O16 O 0.3704 0.7351 0.7436 1
O17 O 0.3224 0.1106 0.4471 1
O18 O 0.1776 0.1106 0.9471 1
O19 O 0.3101 0.1357 0.2757 1
As5 As 0.2368 0.0078 0.8821 1
O20 O 0.4588 0.8558 0.4040 1
O21 O 0.2813 0.5181 0.7175 1
O22 O 0.1737 0.3725 0.5961 1
As6 As 0.7318 0.4603 0.3930 1
O23 O 0.1296 0.7351 0.2436 1
Hf3 Hf 0.7369 0.7615 0.9782 1
O24 O 0.8263 0.6275 0.4039 1
O25 O 0.8101 0.8643 0.2243 1
As7 As 0.7632 0.9922 0.1179 1
As8 As 0.7682 0.4603 0.8930 1
O26 O 0.4360 0.6816 0.0560 1
O27 O 0.0640 0.6816 0.5560 1
Hf4 Hf 0.2369 0.2385 0.5218 1
O28 O 0.5544 0.5855 0.5647 1
O29 O 0.0544 0.4145 0.9353 1
O30 O 0.6776 0.8894 0.5529 1
O31 O 0.7813 0.4819 0.7825 1
O32 O 0.9360 0.3184 0.4440 1
O33 O 0.5412 0.1442 0.5960 1
O34 O 0.8224 0.8894 0.0529 1
O35 O 0.5640 0.3184 0.9440 1
O36 O 0.2187 0.5181 0.2175 1
```

***

6.
Crystalline NdAl10Fe2 at its relaxed geometry. Source: the Materials Project, functional PBE-GGA.

## Properties
final energy	-4.90	eV/atom
E_form	-0.348	eV/atom

Cell and atoms, written as CIF:
```
data_NdAl10Fe2
_chemical_formula_sum 'Nd2 Al20 Fe4'
_cell_length_a 6.8478
_cell_length_b 6.8478
_cell_length_c 9.0923
_cell_angle_alpha 90.00
_cell_angle_beta 90.00
_cell_angle_gamma 97.34
_space_group_name_H-M_alt 'P 1'
_space_group_IT_number 1
loop_
_space_group_symop_operation_xyz
'x,y,z'
loop_
_atom_site_label
_atom_site_type_symbol
_atom_site_fract_x
_atom_site_fract_y
_atom_site_fract_z
_atom_site_occupancy
Al1 Al 0.7705 0.7705 0.5000 1
Nd1 Nd 0.8767 0.1233 0.7500 1
Al2 Al 0.2295 0.2295 0.5000 1
Al3 Al 0.4803 0.2214 0.2500 1
Al4 Al 0.4136 0.1345 0.7500 1
Al5 Al 0.1345 0.4136 0.2500 1
Al6 Al 0.3753 0.6247 0.0481 1
Al7 Al 0.1600 0.8400 0.9014 1
Al8 Al 0.1600 0.8400 0.5986 1
Al9 Al 0.2295 0.2295 0.0000 1
Al10 Al 0.2214 0.4803 0.7500 1
Al11 Al 0.5197 0.7786 0.7500 1
Al12 Al 0.7705 0.7705 0.0000 1
Al13 Al 0.8400 0.1600 0.0986 1
Nd2 Nd 0.1233 0.8767 0.2500 1
Al14 Al 0.3753 0.6247 0.4519 1
Al15 Al 0.7786 0.5197 0.2500 1
Al16 Al 0.8655 0.5864 0.7500 1
Fe1 Fe 0.0000 0.5000 0.0000 1
Al17 Al 0.6247 0.3753 0.5481 1
Fe2 Fe 0.0000 0.5000 0.5000 1
Al18 Al 0.5864 0.8655 0.2500 1
Al19 Al 0.8400 0.1600 0.4014 1
Al20 Al 0.6247 0.3753 0.9519 1
Fe3 Fe 0.5000 0.0000 0.5000 1
Fe4 Fe 0.5000 0.0000 0.0000 1
```